Record 1
Material: BaLa3TiCr3O12
Method: DFT, GGA+U
State: relaxed

* crystal system: monoclinic
* ΔE to the lowest computed polymorph: 0.000 eV/atom
* formation energy: -3.242 eV per atom
* theoretical density: 6.36 g cm⁻³

Lattice parameters (Å, degrees): 11.177 5.601 7.927 89.40 90.00 90.00
Sites, in units of the cell vectors:
Ba 0.003 0.500 0.750
Ba 0.997 0.500 0.250
La 0.748 0.000 0.250
La 0.493 0.500 0.750
La 0.254 0.000 0.250
La 0.746 0.000 0.750
La 0.507 0.500 0.250
La 0.252 0.000 0.750
Ti 0.000 0.000 0.500
Ti 0.000 0.000 0.000
Cr 0.747 0.504 0.999
Cr 0.500 0.000 0.500
Cr 0.747 0.496 0.501
Cr 0.500 0.000 0.000
Cr 0.253 0.504 0.499
Cr 0.253 0.496 0.001
O 0.860 0.221 0.979
O 0.977 0.000 0.250
O 0.860 0.779 0.521
O 0.607 0.716 0.472
O 0.881 0.748 0.980
O 0.715 0.500 0.750
O 0.759 0.500 0.250
O 0.607 0.284 0.028
O 0.881 0.252 0.520
O 0.359 0.211 0.969
O 0.641 0.211 0.469
O 0.468 0.000 0.250
O 0.532 0.000 0.750
O 0.359 0.789 0.531
O 0.641 0.789 0.031
O 0.119 0.748 0.480
O 0.393 0.716 0.972
O 0.241 0.500 0.750
O 0.285 0.500 0.250
O 0.119 0.252 0.020
O 0.393 0.284 0.528
O 0.140 0.221 0.479
O 0.023 0.000 0.750
O 0.140 0.779 0.021

---

Record 2
Material: Ca2Fe9O13
Method: DFT, GGA+U
State: relaxed

* crystal system: monoclinic
* formation energy: -1.842 eV per atom
* theoretical density: 4.94 g cm⁻³

Lattice parameters (Å, degrees): 5.386 5.386 17.034 81.57 81.57 33.02
Sites, in units of the cell vectors:
Ca 0.787 0.787 0.228
Ca 0.213 0.213 0.772
Fe 0.500 0.500 0.500
Fe 0.355 0.355 0.040
Fe 0.645 0.645 0.960
Fe 0.248 0.248 0.418
Fe 0.752 0.752 0.582
Fe 0.065 0.065 0.122
Fe 0.935 0.935 0.878
Fe 0.007 0.007 0.332
Fe 0.993 0.993 0.668
O 0.000 0.000 0.000
O 0.120 0.120 0.228
O 0.880 0.880 0.772
O 0.695 0.695 0.077
O 0.305 0.305 0.923
O 0.430 0.430 0.145
O 0.570 0.570 0.855
O 0.375 0.375 0.317
O 0.625 0.625 0.683
O 0.607 0.607 0.390
O 0.393 0.393 0.610
O 0.880 0.880 0.469
O 0.120 0.120 0.531

---

Record 3
Material: Fe2O3
Method: DFT, GGA+U
State: relaxed

* crystal system: orthorhombic
* formation energy: -1.432 eV per atom
* theoretical density: 4.45 g cm⁻³

Lattice parameters (Å, degrees): 5.180 5.180 15.917 90.00 90.00 146.11
Sites, in units of the cell vectors:
Fe 0.635 0.365 0.047
Fe 0.365 0.635 0.953
Fe 0.635 0.365 0.453
Fe 0.365 0.635 0.547
Fe 0.096 0.904 0.647
Fe 0.904 0.096 0.353
Fe 0.904 0.096 0.147
Fe 0.096 0.904 0.853
O 0.000 0.000 0.500
O 0.000 0.000 0.000
O 0.471 0.529 0.853
O 0.529 0.471 0.147
O 0.529 0.471 0.353
O 0.471 0.529 0.647
O 0.728 0.272 0.927
O 0.272 0.728 0.073
O 0.272 0.728 0.427
O 0.728 0.272 0.573
O 0.179 0.821 0.750
O 0.821 0.179 0.250

---

Record 4
Material: Na2FePO5
Method: DFT, GGA+U
State: relaxed

* crystal system: orthorhombic
* formation energy: -2.311 eV per atom
* theoretical density: 3.19 g cm⁻³

Lattice parameters (Å, degrees): 5.319 11.827 14.081 90.00 90.00 90.00
Sites, in units of the cell vectors:
Na 0.262 0.175 0.756
Na 0.238 0.675 0.744
Na 0.762 0.825 0.744
Na 0.738 0.325 0.756
Na 0.738 0.825 0.244
Na 0.762 0.325 0.256
Na 0.238 0.175 0.256
Na 0.262 0.675 0.244
Na 0.244 0.416 0.875
Na 0.256 0.916 0.625
Na 0.744 0.584 0.625
Na 0.756 0.084 0.875
Na 0.756 0.584 0.125
Na 0.744 0.084 0.375
Na 0.256 0.416 0.375
Na 0.244 0.916 0.125
Fe 0.227 0.183 0.976
Fe 0.273 0.683 0.524
Fe 0.727 0.817 0.524
Fe 0.773 0.317 0.976
Fe 0.773 0.817 0.024
Fe 0.727 0.317 0.476
Fe 0.273 0.183 0.476
Fe 0.227 0.683 0.024
P 0.203 0.411 0.617
P 0.297 0.911 0.883
P 0.703 0.589 0.883
P 0.797 0.089 0.617
P 0.797 0.589 0.383
P 0.703 0.089 0.117
P 0.297 0.411 0.117
P 0.203 0.911 0.383
O 0.358 0.346 0.540
O 0.142 0.846 0.960
O 0.858 0.654 0.960
O 0.642 0.154 0.540
O 0.642 0.654 0.460
O 0.858 0.154 0.040
O 0.142 0.346 0.040
O 0.358 0.846 0.460
O 0.278 0.370 0.717
O 0.222 0.870 0.783
O 0.778 0.630 0.783
O 0.722 0.130 0.717
O 0.722 0.630 0.283
O 0.778 0.130 0.217
O 0.222 0.370 0.217
O 0.278 0.870 0.283
O 0.085 0.109 0.597
O 0.415 0.609 0.903
O 0.585 0.891 0.903
O 0.915 0.391 0.597
O 0.915 0.891 0.403
O 0.585 0.391 0.097
O 0.415 0.109 0.097
O 0.085 0.609 0.403
O 0.237 0.040 0.892
O 0.263 0.540 0.608
O 0.737 0.960 0.608
O 0.763 0.460 0.892
O 0.763 0.960 0.108
O 0.737 0.460 0.392
O 0.263 0.040 0.392
O 0.237 0.540 0.108
O 0.000 0.250 0.883
O 0.500 0.750 0.617
O 0.000 0.750 0.117
O 0.500 0.250 0.383
O 0.500 0.250 0.912
O 0.000 0.750 0.588
O 0.500 0.750 0.088
O 0.000 0.250 0.412

---

Record 5
Material: Ca6Al2Fe4O15
Method: DFT, GGA+U
State: relaxed

* crystal system: triclinic
* formation energy: -2.751 eV per atom
* theoretical density: 3.69 g cm⁻³

Lattice parameters (Å, degrees): 5.443 15.697 17.138 68.66 89.98 89.99
Sites, in units of the cell vectors:
Ca 0.985 0.892 0.214
Ca 0.985 0.894 0.544
Ca 0.984 0.893 0.881
Ca 0.486 0.607 0.454
Ca 0.484 0.606 0.788
Ca 0.487 0.607 0.121
Ca 0.011 0.390 0.359
Ca 0.011 0.389 0.692
Ca 0.012 0.390 0.026
Ca 0.512 0.110 0.307
Ca 0.512 0.111 0.641
Ca 0.512 0.110 0.974
Ca 0.011 0.111 0.451
Ca 0.011 0.110 0.786
Ca 0.011 0.110 0.119
Ca 0.512 0.390 0.214
Ca 0.512 0.390 0.547
Ca 0.512 0.389 0.881
Ca 0.985 0.608 0.308
Ca 0.985 0.606 0.640
Ca 0.984 0.607 0.976
Ca 0.486 0.893 0.359
Ca 0.484 0.894 0.692
Ca 0.487 0.893 0.026
Al 0.944 0.750 0.440
Al 0.944 0.750 0.107
Al 0.555 0.250 0.109
Al 0.555 0.250 0.776
Al 0.555 0.250 0.443
Al 0.055 0.250 0.224
Al 0.055 0.250 0.891
Al 0.055 0.250 0.557
Fe 0.501 0.005 0.499
Fe 0.501 0.004 0.832
Fe 0.501 0.004 0.166
Fe 0.001 0.499 0.500
Fe 0.001 0.496 0.835
Fe 0.001 0.499 0.167
Fe 0.501 0.496 0.335
Fe 0.501 0.495 0.669
Fe 0.501 0.496 0.002
Fe 0.001 0.001 0.333
Fe 0.001 0.004 0.665
Fe 0.001 0.001 0.000
Fe 0.443 0.750 0.894
Fe 0.443 0.750 0.558
Fe 0.443 0.750 0.225
Fe 0.943 0.750 0.773
O 0.753 0.020 0.576
O 0.752 0.019 0.911
O 0.752 0.018 0.244
O 0.251 0.483 0.423
O 0.252 0.479 0.757
O 0.251 0.483 0.090
O 0.250 0.513 0.247
O 0.249 0.513 0.580
O 0.250 0.512 0.914
O 0.750 0.987 0.087
O 0.749 0.987 0.420
O 0.750 0.988 0.753
O 0.250 0.987 0.089
O 0.249 0.987 0.422
O 0.250 0.988 0.755
O 0.750 0.513 0.245
O 0.749 0.513 0.578
O 0.750 0.512 0.912
O 0.752 0.482 0.422
O 0.753 0.480 0.756
O 0.752 0.481 0.090
O 0.252 0.021 0.577
O 0.251 0.017 0.912
O 0.251 0.017 0.245
O 0.088 0.750 0.202
O 0.089 0.750 0.535
O 0.085 0.750 0.876
O 0.613 0.750 0.125
O 0.612 0.750 0.458
O 0.586 0.750 0.790
O 0.883 0.250 0.467
O 0.883 0.250 0.800
O 0.883 0.250 0.133
O 0.383 0.250 0.533
O 0.383 0.250 0.867
O 0.383 0.250 0.200
O 0.520 0.859 0.239
O 0.521 0.860 0.572
O 0.526 0.860 0.906
O 0.019 0.646 0.428
O 0.026 0.640 0.760
O 0.020 0.645 0.095
O 0.490 0.353 0.358
O 0.491 0.352 0.691
O 0.490 0.353 0.025
O 0.990 0.147 0.308
O 0.990 0.148 0.642
O 0.990 0.147 0.975
O 0.491 0.148 0.426
O 0.490 0.147 0.760
O 0.490 0.147 0.094
O 0.990 0.353 0.240
O 0.990 0.353 0.573
O 0.990 0.352 0.907
O 0.520 0.641 0.312
O 0.521 0.640 0.645
O 0.526 0.640 0.979
O 0.019 0.854 0.358
O 0.026 0.860 0.687
O 0.020 0.855 0.025

---

Record 6
Material: MgFe4P12O36
Method: DFT, GGA+U
State: relaxed

* crystal system: triclinic
* ΔE to the lowest computed polymorph: 0.039 eV/atom
* formation energy: -2.468 eV per atom
* theoretical density: 3.01 g cm⁻³

Lattice parameters (Å, degrees): 8.598 8.678 8.843 89.71 90.84 90.53
Sites, in units of the cell vectors:
Mg 0.492 0.518 0.454
Fe 0.882 0.640 0.350
Fe 0.634 0.355 0.852
Fe 0.364 0.867 0.652
Fe 0.127 0.142 0.151
P 0.686 0.983 0.805
P 0.713 0.300 0.437
P 0.796 0.692 0.948
P 0.824 0.008 0.320
P 0.029 0.672 0.694
P 0.189 0.516 0.188
P 0.198 0.197 0.551
P 0.294 0.814 0.053
P 0.309 0.482 0.705
P 0.469 0.312 0.179
P 0.529 0.831 0.309
P 0.964 0.180 0.805
O 0.615 0.685 0.360
O 0.952 0.715 0.852
O 0.904 0.877 0.395
O 0.912 0.604 0.587
O 0.040 0.222 0.646
O 0.112 0.376 0.121
O 0.083 0.137 0.923
O 0.126 0.593 0.324
O 0.130 0.802 0.645
O 0.144 0.531 0.761
O 0.154 0.174 0.388
O 0.185 0.919 0.137
O 0.225 0.638 0.058
O 0.274 0.373 0.559
O 0.305 0.096 0.637
O 0.337 0.846 0.895
O 0.371 0.462 0.239
O 0.360 0.184 0.135
O 0.399 0.396 0.824
O 0.411 0.891 0.414
O 0.396 0.614 0.629
O 0.454 0.791 0.148
O 0.546 0.279 0.342
O 0.858 0.313 0.841
O 0.594 0.363 0.074
O 0.607 0.901 0.677
O 0.902 0.096 0.194
O 0.654 0.959 0.256
O 0.644 0.360 0.583
O 0.687 0.580 0.868
O 0.721 0.863 0.941
O 0.773 0.129 0.453
O 0.819 0.402 0.351
O 0.842 0.664 0.109
O 0.861 0.032 0.757
O 0.608 0.124 0.868

---

Record 7
Material: CaCrP2O7
Method: DFT, GGA+U
State: relaxed

* crystal system: monoclinic
* ΔE to the lowest computed polymorph: 0.032 eV/atom
* formation energy: -2.840 eV per atom
* theoretical density: 3.17 g cm⁻³

Lattice parameters (Å, degrees): 9.037 7.457 9.301 62.83 90.00 90.00
Sites, in units of the cell vectors:
Ca 0.954 0.277 0.863
Ca 0.454 0.723 0.637
Ca 0.546 0.277 0.363
Ca 0.046 0.723 0.137
Cr 0.077 0.776 0.605
Cr 0.923 0.224 0.395
Cr 0.577 0.224 0.895
Cr 0.423 0.776 0.105
P 0.721 0.939 0.240
P 0.240 0.483 0.963
P 0.779 0.939 0.740
P 0.260 0.483 0.463
P 0.221 0.061 0.260
P 0.740 0.517 0.537
P 0.760 0.517 0.037
P 0.279 0.061 0.760
O 0.178 0.268 0.101
O 0.635 0.916 0.666
O 0.865 0.916 0.166
O 0.383 0.454 0.891
O 0.822 0.732 0.899
O 0.086 0.031 0.373
O 0.617 0.546 0.109
O 0.105 0.542 0.847
O 0.243 0.619 0.546
O 0.914 0.969 0.627
O 0.414 0.031 0.873
O 0.777 0.097 0.801
O 0.277 0.903 0.699
O 0.322 0.268 0.601
O 0.586 0.969 0.127
O 0.135 0.084 0.834
O 0.223 0.903 0.199
O 0.895 0.458 0.153
O 0.257 0.619 0.046
O 0.743 0.381 0.954
O 0.883 0.546 0.609
O 0.395 0.542 0.347
O 0.605 0.458 0.653
O 0.365 0.084 0.334
O 0.723 0.097 0.301
O 0.117 0.454 0.391
O 0.757 0.381 0.454
O 0.678 0.732 0.399

---

Record 8
Material: Li2Co2C3O9
Method: DFT, GGA+U
State: relaxed

* crystal system: triclinic
* formation energy: -1.797 eV per atom
* theoretical density: 3.11 g cm⁻³

Lattice parameters (Å, degrees): 7.442 7.460 7.513 108.91 108.99 107.37
Sites, in units of the cell vectors:
Li 0.690 0.155 0.390
Li 0.413 0.694 0.194
Li 0.157 0.162 0.150
Li 0.188 0.435 0.713
Co 0.965 0.848 0.464
Co 0.581 0.560 0.581
Co 0.849 0.465 0.963
Co 0.467 0.965 0.847
C 0.755 0.843 0.076
C 0.600 0.413 0.191
C 0.829 0.066 0.743
C 0.193 0.596 0.415
C 0.409 0.194 0.597
C 0.075 0.756 0.842
O 0.951 0.948 0.219
O 0.616 0.914 0.098
O 0.605 0.301 0.021
O 0.644 0.612 0.247
O 0.894 0.083 0.603
O 0.551 0.329 0.304
O 0.911 0.695 0.666
O 0.655 0.906 0.686
O 0.307 0.537 0.334
O 0.940 0.214 0.939
O 0.608 0.254 0.637
O 0.321 0.309 0.554
O 0.690 0.664 0.914
O 0.304 0.023 0.600
O 0.025 0.603 0.299
O 0.247 0.649 0.614
O 0.221 0.950 0.947
O 0.098 0.619 0.913